# MgH20S2N2O14 | Materials Project | PBE | optimized geometry
data_MgH20S2N2O14
_chemical_formula_sum 'Mg2 H40 S4 N4 O28'
_cell_length_a 6.272
_cell_length_b 12.666
_cell_length_c 9.384
_cell_angle_alpha 90.00
_cell_angle_beta 107.40
_cell_angle_gamma 90.00
_space_group_name_H-M_alt 'P 1 21/c 1'
_space_group_IT_number 14
loop_
_space_group_symop_operation_xyz
'x,y,z'
'-x,-y,-z'
'-x,y+1/2,-z+1/2'
'x,-y+1/2,z+1/2'
loop_
_atom_site_label
_atom_site_type_symbol
_atom_site_fract_x
_atom_site_fract_y
_atom_site_fract_z
_atom_site_occupancy
Mg1 Mg 0.000 0.000 0.000 1
H1 H 0.005 0.186 0.858 1
H2 H 0.055 0.599 0.768 1
H3 H 0.098 0.125 0.247 1
H4 H 0.205 0.166 0.558 1
H5 H 0.329 0.091 0.219 1
H6 H 0.329 0.644 0.529 1
H7 H 0.339 0.562 0.404 1
H8 H 0.362 0.071 0.668 1
H9 H 0.403 0.200 0.722 1
H10 H 0.478 0.157 0.575 1
S1 S 0.257 0.640 0.095 1
N1 N 0.361 0.149 0.632 1
O1 O 0.030 0.111 0.839 1
O2 O 0.043 0.678 0.117 1
O3 O 0.168 0.106 0.170 1
O4 O 0.213 0.582 0.952 1
O5 O 0.297 0.570 0.497 1
O6 O 0.374 0.566 0.221 1
O7 O 0.410 0.731 0.098 1
# Calculated density ... 1.7 Mg/m³
# Crystal system ... monoclinic
# DFT formation energy ... -1.37 eV per atom
# Total energy ... -5.32 eV/atom